[1]
{
  "formula": "K2Mo3Se18",
  "functional": "GGA-PBE",
  "state": "relaxed",
  "e_form_ev_per_atom": -0.79,
  "lattice_angstrom": [[-10.165, -7.602, 2.288], [3.819, -2.196, 9.671], [-3.096, 6.571, 8.078]],
  "species": ["Se", "Se", "Se", "Se", "Se", "Se", "Se", "Se", "Se", "Se", "Se", "Se", "Se", "Se", "Se", "Se", "Se", "Se", "Se", "Se", "Se", "Se", "Se", "Se", "Se", "Se", "Se", "Se", "Se", "Se", "Se", "Se", "Se", "Se", "Se", "Se", "Mo", "Mo", "Mo", "Mo", "Mo", "Mo", "K", "K", "K", "K"],
  "fractional_positions": [[0.899, 0.094, 0.334], [0.349, 0.467, 0.670], [0.751, 0.633, 0.609], [0.576, 0.548, 0.166], [0.588, 0.111, 0.684], [0.844, 0.911, 0.719], [0.890, 0.908, 0.149], [0.809, 0.278, 0.971], [0.399, 0.906, 0.666], [0.162, 0.105, 0.299], [0.995, 0.239, 0.986], [0.849, 0.533, 0.330], [0.913, 0.740, 0.502], [0.495, 0.761, 0.014], [0.088, 0.889, 0.316], [0.738, 0.185, 0.358], [0.719, 0.894, 0.074], [0.390, 0.092, 0.851], [0.535, 0.436, 0.703], [0.120, 0.440, 0.624], [0.610, 0.898, 0.362], [0.309, 0.722, 0.029], [0.344, 0.089, 0.281], [0.072, 0.590, 0.069], [0.238, 0.815, 0.642], [0.413, 0.260, 0.498], [0.251, 0.367, 0.391], [0.572, 0.410, 0.931], [0.662, 0.895, 0.701], [0.219, 0.106, 0.926], [0.068, 0.831, 0.895], [0.035, 0.564, 0.297], [0.076, 0.452, 0.834], [0.620, 0.560, 0.376], [0.110, 0.102, 0.638], [0.568, 0.169, 0.105], [0.761, 0.758, 0.338], [0.269, 0.088, 0.512], [0.750, 0.053, 0.200], [0.261, 0.242, 0.662], [0.769, 0.912, 0.488], [0.250, 0.947, 0.800], [0.313, 0.417, 0.003], [0.846, 0.264, 0.664], [0.346, 0.736, 0.336], [0.813, 0.583, 0.997]]
}


[2]
{
  "formula": "KMo3Se3",
  "functional": "GGA-PBE",
  "state": "relaxed",
  "e_form_ev_per_atom": -0.91,
  "lattice_angstrom": [[3.245, 6.944, -5.106], [-8.778, -2.647, -0.873], [-1.207, 2.939, 3.229]],
  "species": ["Se", "Se", "Se", "Se", "Se", "Se", "K", "K", "Mo", "Mo", "Mo", "Mo", "Mo", "Mo"],
  "fractional_positions": [[0.357, 0.058, 0.250], [0.643, 0.942, 0.750], [0.701, 0.643, 0.250], [0.058, 0.701, 0.750], [0.299, 0.357, 0.750], [0.942, 0.299, 0.250], [0.333, 0.667, 0.250], [0.667, 0.333, 0.750], [0.849, 0.820, 0.750], [0.151, 0.180, 0.250], [0.971, 0.151, 0.750], [0.820, 0.971, 0.250], [0.180, 0.029, 0.750], [0.029, 0.849, 0.250]]
}


[3]
{
  "formula": "K3Mo3Se14",
  "functional": "GGA-PBE",
  "state": "relaxed",
  "e_form_ev_per_atom": -0.91,
  "lattice_angstrom": [[15.153, -0.019, 0.000], [-4.338, 14.518, 0.000], [0.000, 0.000, 20.849]],
  "species": ["Se", "Se", "Se", "Se", "Se", "Se", "Se", "Se", "Se", "Se", "Se", "Se", "Se", "Se", "Se", "Se", "Se", "Se", "Se", "Se", "Se", "Se", "Se", "Se", "Se", "Se", "Se", "Se", "Se", "Se", "Se", "Se", "Se", "Se", "Se", "Se", "Se", "Se", "Se", "Se", "Se", "Se", "Se", "Se", "Se", "Se", "Se", "Se", "Se", "Se", "Se", "Se", "Se", "Se", "Se", "Se", "Se", "Se", "Se", "Se", "Se", "Se", "Se", "Se", "Se", "Se", "Se", "Se", "Se", "Se", "Se", "Se", "Se", "Se", "Se", "Se", "Se", "Se", "Se", "Se", "Se", "Se", "Se", "Se", "Se", "Se", "Se", "Se", "Se", "Se", "Se", "Se", "Se", "Se", "Se", "Se", "Se", "Se", "Se", "Se", "Se", "Se", "Se", "Se", "Se", "Se", "Se", "Se", "Se", "Se", "Se", "Se", "Mo", "Mo", "Mo", "Mo", "Mo", "Mo", "Mo", "Mo", "Mo", "Mo", "Mo", "Mo", "Mo", "Mo", "Mo", "Mo", "Mo", "Mo", "Mo", "Mo", "Mo", "Mo", "Mo", "Mo", "K", "K", "K", "K", "K", "K", "K", "K", "K", "K", "K", "K", "K", "K", "K", "K", "K", "K", "K", "K", "K", "K", "K", "K"],
  "fractional_positions": [[0.966, 0.668, 0.949], [0.576, 0.576, 0.405], [0.921, 0.788, 0.797], [0.885, 0.621, 0.470], [0.668, 0.966, 0.949], [0.426, 0.293, 0.780], [0.872, 0.656, 0.300], [0.775, 0.474, 0.434], [0.234, 0.234, 0.663], [0.128, 0.344, 0.800], [0.310, 0.828, 0.970], [0.145, 0.647, 0.267], [0.939, 0.296, 0.183], [0.876, 0.876, 0.932], [0.876, 0.876, 0.225], [0.424, 0.424, 0.905], [0.078, 0.597, 0.551], [0.079, 0.212, 0.297], [0.611, 0.365, 0.997], [0.913, 0.133, 0.510], [0.812, 0.432, 0.181], [0.487, 0.995, 0.175], [0.640, 0.640, 0.690], [0.353, 0.855, 0.767], [0.854, 0.131, 0.182], [0.296, 0.939, 0.183], [0.738, 0.230, 0.815], [0.348, 0.348, 0.367], [0.765, 0.765, 0.998], [0.212, 0.079, 0.297], [0.521, 0.521, 0.269], [0.656, 0.872, 0.300], [0.652, 0.652, 0.867], [0.235, 0.235, 0.498], [0.524, 0.748, 0.050], [0.365, 0.611, 0.997], [0.989, 0.799, 0.530], [0.837, 0.621, 0.786], [0.597, 0.078, 0.551], [0.005, 0.513, 0.675], [0.124, 0.124, 0.725], [0.360, 0.360, 0.190], [0.172, 0.690, 0.470], [0.034, 0.332, 0.449], [0.133, 0.913, 0.510], [0.554, 0.820, 0.945], [0.685, 0.179, 0.086], [0.344, 0.128, 0.800], [0.704, 0.061, 0.683], [0.087, 0.867, 0.010], [0.124, 0.124, 0.432], [0.635, 0.389, 0.497], [0.867, 0.087, 0.010], [0.315, 0.821, 0.586], [0.230, 0.738, 0.815], [0.770, 0.262, 0.315], [0.810, 0.810, 0.399], [0.922, 0.403, 0.051], [0.568, 0.188, 0.681], [0.763, 0.763, 0.649], [0.641, 0.350, 0.173], [0.432, 0.812, 0.181], [0.343, 0.343, 0.997], [0.869, 0.146, 0.682], [0.225, 0.526, 0.934], [0.061, 0.704, 0.683], [0.115, 0.379, 0.970], [0.474, 0.775, 0.434], [0.526, 0.225, 0.934], [0.389, 0.635, 0.497], [0.513, 0.005, 0.675], [0.359, 0.650, 0.673], [0.788, 0.921, 0.797], [0.766, 0.766, 0.163], [0.350, 0.641, 0.173], [0.029, 0.029, 0.322], [0.446, 0.180, 0.445], [0.332, 0.034, 0.449], [0.262, 0.770, 0.315], [0.799, 0.989, 0.530], [0.828, 0.310, 0.970], [0.707, 0.574, 0.280], [0.621, 0.885, 0.470], [0.252, 0.476, 0.550], [0.657, 0.657, 0.497], [0.821, 0.315, 0.586], [0.748, 0.524, 0.050], [0.163, 0.379, 0.286], [0.820, 0.554, 0.945], [0.188, 0.568, 0.681], [0.146, 0.869, 0.682], [0.650, 0.359, 0.673], [0.647, 0.145, 0.267], [0.190, 0.190, 0.899], [0.995, 0.487, 0.175], [0.179, 0.685, 0.086], [0.131, 0.854, 0.182], [0.621, 0.837, 0.786], [0.011, 0.201, 0.030], [0.476, 0.252, 0.550], [0.180, 0.446, 0.445], [0.403, 0.922, 0.051], [0.293, 0.426, 0.780], [0.379, 0.163, 0.286], [0.855, 0.353, 0.767], [0.971, 0.971, 0.822], [0.479, 0.479, 0.769], [0.379, 0.115, 0.970], [0.237, 0.237, 0.149], [0.201, 0.011, 0.030], [0.574, 0.707, 0.280], [0.690, 0.172, 0.470], [0.363, 0.248, 0.894], [0.250, 0.250, 0.789], [0.141, 0.768, 0.577], [0.232, 0.859, 0.077], [0.291, 0.178, 0.392], [0.255, 0.255, 0.277], [0.859, 0.232, 0.077], [0.648, 0.251, 0.574], [0.251, 0.648, 0.574], [0.256, 0.763, 0.187], [0.822, 0.709, 0.892], [0.178, 0.291, 0.392], [0.768, 0.141, 0.577], [0.744, 0.237, 0.687], [0.352, 0.749, 0.074], [0.749, 0.352, 0.074], [0.752, 0.637, 0.394], [0.709, 0.822, 0.892], [0.637, 0.752, 0.394], [0.248, 0.363, 0.894], [0.763, 0.256, 0.187], [0.745, 0.745, 0.777], [0.750, 0.750, 0.289], [0.237, 0.744, 0.687], [0.338, 0.585, 0.330], [0.808, 0.556, 0.619], [0.937, 0.180, 0.861], [0.475, 0.971, 0.340], [0.063, 0.820, 0.361], [0.525, 0.029, 0.840], [0.944, 0.687, 0.123], [0.180, 0.937, 0.861], [0.034, 0.034, 0.135], [0.820, 0.063, 0.361], [0.056, 0.313, 0.623], [0.313, 0.056, 0.623], [0.192, 0.444, 0.119], [0.687, 0.944, 0.123], [0.662, 0.415, 0.830], [0.415, 0.662, 0.830], [0.971, 0.475, 0.340], [0.482, 0.482, 0.594], [0.556, 0.808, 0.619], [0.029, 0.525, 0.840], [0.444, 0.192, 0.119], [0.518, 0.518, 0.094], [0.585, 0.338, 0.330], [0.966, 0.966, 0.635]]
}


[4]
{
  "formula": "K13Na2W7N19",
  "functional": "GGA-PBE",
  "state": "relaxed",
  "e_form_ev_per_atom": -0.64,
  "lattice_angstrom": [[-0.702, -1.826, 6.516], [12.099, -3.113, -1.815], [5.132, 18.271, 4.266]],
  "species": ["N", "N", "N", "N", "N", "N", "N", "N", "N", "N", "N", "N", "N", "N", "N", "N", "N", "N", "N", "N", "N", "N", "N", "N", "N", "N", "N", "N", "N", "N", "N", "N", "N", "N", "N", "N", "N", "N", "K", "K", "K", "K", "K", "K", "K", "K", "K", "K", "K", "K", "K", "K", "K", "K", "K", "K", "K", "K", "K", "K", "K", "K", "K", "K", "W", "W", "W", "W", "W", "W", "W", "W", "W", "W", "W", "W", "W", "W", "Na", "Na", "Na", "Na"],
  "fractional_positions": [[0.862, 0.995, 0.747], [0.425, 0.200, 0.197], [0.678, 0.414, 0.140], [0.276, 0.356, 0.912], [0.098, 0.328, 0.472], [0.495, 0.164, 0.890], [0.199, 0.803, 0.878], [0.435, 0.230, 0.040], [0.801, 0.197, 0.122], [0.223, 0.181, 0.586], [0.543, 0.070, 0.322], [0.505, 0.836, 0.110], [0.808, 0.125, 0.520], [0.777, 0.819, 0.414], [0.377, 0.653, 0.274], [0.775, 0.785, 0.658], [0.084, 0.530, 0.099], [0.902, 0.672, 0.528], [0.724, 0.644, 0.088], [0.322, 0.586, 0.860], [0.912, 0.883, 0.057], [0.067, 0.403, 0.769], [0.457, 0.930, 0.678], [0.919, 0.320, 0.622], [0.849, 0.550, 0.667], [0.575, 0.800, 0.803], [0.565, 0.770, 0.960], [0.916, 0.470, 0.901], [0.151, 0.450, 0.333], [0.138, 0.005, 0.253], [0.088, 0.117, 0.943], [0.081, 0.680, 0.378], [0.507, 0.397, 0.419], [0.192, 0.875, 0.480], [0.225, 0.215, 0.342], [0.933, 0.597, 0.231], [0.493, 0.603, 0.581], [0.623, 0.347, 0.726], [0.973, 0.347, 0.016], [0.027, 0.653, 0.984], [0.606, 0.898, 0.530], [0.747, 0.259, 0.383], [0.076, 0.972, 0.610], [0.844, 0.171, 0.829], [0.724, 0.016, 0.198], [0.875, 0.910, 0.897], [0.125, 0.090, 0.103], [0.156, 0.829, 0.171], [0.092, 0.330, 0.205], [0.584, 0.468, 0.281], [0.924, 0.028, 0.390], [0.381, 0.865, 0.350], [0.908, 0.670, 0.795], [0.416, 0.532, 0.719], [0.491, 0.378, 0.559], [0.720, 0.083, 0.001], [0.394, 0.102, 0.470], [0.767, 0.765, 0.279], [0.619, 0.135, 0.650], [0.253, 0.741, 0.617], [0.233, 0.235, 0.721], [0.280, 0.917, 0.999], [0.276, 0.984, 0.802], [0.509, 0.622, 0.441], [0.679, 0.787, 0.055], [0.991, 0.765, 0.451], [0.009, 0.235, 0.549], [0.249, 0.346, 0.392], [0.585, 0.261, 0.126], [0.139, 0.594, 0.305], [0.140, 0.453, 0.861], [0.666, 0.880, 0.722], [0.321, 0.213, 0.945], [0.415, 0.739, 0.874], [0.860, 0.547, 0.139], [0.861, 0.406, 0.695], [0.751, 0.654, 0.608], [0.334, 0.120, 0.278], [0.606, 0.365, 0.850], [0.394, 0.635, 0.150], [0.500, 0.500, 0.000], [0.000, 0.500, 0.500]]
}


[5]
{
  "formula": "K8N3O",
  "functional": "GGA-PBE",
  "state": "relaxed",
  "e_form_ev_per_atom": 0.19,
  "lattice_angstrom": [[-1.454, 6.314, 1.848], [-5.171, 0.073, -4.320], [-4.068, -2.350, 4.830]],
  "species": ["K", "K", "K", "K", "K", "K", "K", "K", "O", "N", "N", "N"],
  "fractional_positions": [[0.257, 0.257, 0.743], [0.743, 0.743, 0.743], [0.743, 0.257, 0.257], [0.743, 0.743, 0.257], [0.257, 0.743, 0.257], [0.743, 0.257, 0.743], [0.257, 0.743, 0.743], [0.257, 0.257, 0.257], [0.500, 0.500, 0.500], [0.500, 0.000, 0.000], [0.000, 0.500, 0.000], [0.000, 0.000, 0.500]]
}


[6]
{
  "formula": "K3NO",
  "functional": "GGA-PBE",
  "state": "relaxed",
  "e_form_ev_per_atom": -0.13,
  "lattice_angstrom": [[-2.560, 2.383, -3.873], [1.418, -3.788, -3.267], [-21.130, -13.734, 5.517]],
  "species": ["K", "K", "K", "K", "K", "K", "K", "K", "K", "K", "K", "K", "K", "K", "K", "O", "O", "O", "O", "O", "N", "N", "N", "N", "N"],
  "fractional_positions": [[0.029, 0.996, 0.198], [0.510, 0.500, 0.000], [0.998, 0.995, 0.399], [0.998, 0.005, 0.601], [0.491, 0.467, 0.799], [0.974, 0.000, 0.000], [0.499, 0.495, 0.400], [0.499, 0.505, 0.600], [0.491, 0.533, 0.201], [0.996, 0.443, 0.900], [0.051, 0.487, 0.299], [0.051, 0.513, 0.701], [0.939, 0.500, 0.500], [0.029, 0.004, 0.802], [0.996, 0.557, 0.100], [0.000, 0.495, 0.400], [0.017, 0.500, 0.000], [0.000, 0.505, 0.600], [0.981, 0.486, 0.200], [0.981, 0.514, 0.800], [0.501, 0.885, 0.100], [0.382, 0.013, 0.700], [0.382, 0.987, 0.300], [0.612, 0.000, 0.500], [0.501, 0.115, 0.900]]
}


[7]
{
  "formula": "K4NO",
  "functional": "GGA-PBE",
  "state": "relaxed",
  "e_form_ev_per_atom": -0.28,
  "lattice_angstrom": [[4.670, 0.000, 0.000], [0.000, 4.670, 0.000], [0.000, 0.000, 6.749]],
  "species": ["K", "K", "K", "K", "O", "N"],
  "fractional_positions": [[0.000, 0.500, 0.740], [0.500, 0.000, 0.740], [0.500, 0.000, 0.260], [0.000, 0.500, 0.260], [0.500, 0.500, 0.500], [0.000, 0.000, 0.000]]
}


[8]
{
  "formula": "KOsNO3",
  "functional": "GGA-PBE",
  "state": "relaxed",
  "e_form_ev_per_atom": -1.30,
  "lattice_angstrom": [[-5.811, 0.000, 0.000], [-0.001, -5.812, 0.000], [2.880, 2.807, 6.728]],
  "species": ["Os", "Os", "K", "K", "O", "O", "O", "O", "O", "O", "N", "N"],
  "fractional_positions": [[0.124, 0.375, 0.752], [0.877, 0.624, 0.252], [0.374, 0.125, 0.250], [0.625, 0.877, 0.750], [0.825, 0.197, 0.598], [0.902, 0.325, 0.098], [0.176, 0.806, 0.397], [0.097, 0.679, 0.897], [0.718, 0.598, 0.399], [0.307, 0.221, 0.898], [0.704, 0.771, 0.105], [0.270, 0.402, 0.605]]
}